A relaxed YB2Ru crystal, computed with PBE.

abc: 5.9245 5.3264 6.3627
angles: 90.00 90.00 90.00
Sites, in units of the cell vectors:
Y: 0.0112 0.2500 0.1631
Y: 0.4888 0.7500 0.6631
Y: 0.5112 0.2500 0.3369
Y: 0.9888 0.7500 0.8369
B: 0.1302 0.5844 0.4615
B: 0.1302 0.9156 0.4615
B: 0.3698 0.0844 0.9615
B: 0.3698 0.4156 0.9615
B: 0.6302 0.5844 0.0385
B: 0.6302 0.9156 0.0385
B: 0.8698 0.0844 0.5385
B: 0.8698 0.4156 0.5385
Ru: 0.1813 0.2500 0.6816
Ru: 0.3187 0.7500 0.1816
Ru: 0.6813 0.2500 0.8184
Ru: 0.8187 0.7500 0.3184

Computed properties:
Magnetic moment = 0.000 μB per atom

***

A relaxed Y2B6Ru crystal, computed with PBE.

abc: 9.1601 11.5348 3.6697
angles: 90.00 90.00 90.00
Sites, in units of the cell vectors:
Y: 0.0563 0.1270 0.0000
Y: 0.1777 0.4139 0.0000
Y: 0.3223 0.9139 0.0000
Y: 0.4437 0.6270 0.0000
Y: 0.5563 0.3730 0.0000
Y: 0.6777 0.0861 0.0000
Y: 0.8223 0.5861 0.0000
Y: 0.9437 0.8730 0.0000
B: 0.0164 0.2870 0.5000
B: 0.0538 0.5673 0.5000
B: 0.1114 0.9694 0.5000
B: 0.1318 0.8147 0.5000
B: 0.2098 0.2331 0.5000
B: 0.2473 0.5801 0.5000
B: 0.2527 0.0801 0.5000
B: 0.2902 0.7331 0.5000
B: 0.3682 0.3147 0.5000
B: 0.3886 0.4694 0.5000
B: 0.4462 0.0673 0.5000
B: 0.4836 0.7870 0.5000
B: 0.5164 0.2130 0.5000
B: 0.5538 0.9327 0.5000
B: 0.6114 0.5306 0.5000
B: 0.6318 0.6853 0.5000
B: 0.7098 0.2669 0.5000
B: 0.7473 0.9199 0.5000
B: 0.7527 0.4199 0.5000
B: 0.7902 0.7669 0.5000
B: 0.8682 0.1853 0.5000
B: 0.8886 0.0306 0.5000
B: 0.9462 0.4327 0.5000
B: 0.9836 0.7130 0.5000
Ru: 0.1377 0.6789 0.0000
Ru: 0.3623 0.1789 0.0000
Ru: 0.6377 0.8211 0.0000
Ru: 0.8623 0.3211 0.0000

***

A relaxed YB2Ru2 crystal, computed with PBE.

abc: 9.7748 9.7748 9.7748
angles: 123.62 123.62 83.83
Sites, in units of the cell vectors:
Y: 0.0000 0.0000 0.0000
Y: 0.0000 0.0000 0.5000
Y: 0.0000 0.5000 0.0000
Y: 0.0000 0.5000 0.5000
Y: 0.5000 0.0000 0.0000
Y: 0.5000 0.0000 0.5000
Y: 0.5000 0.5000 0.0000
Y: 0.5000 0.5000 0.5000
B: 0.0237 0.6696 0.3576
B: 0.1661 0.3120 0.6424
B: 0.1696 0.5237 0.8576
B: 0.1880 0.3339 0.8576
B: 0.3120 0.1696 0.1459
B: 0.3304 0.1880 0.3541
B: 0.3339 0.9763 0.1459
B: 0.4763 0.8339 0.6459
B: 0.5237 0.1661 0.3541
B: 0.6661 0.0237 0.8541
B: 0.6696 0.8120 0.6459
B: 0.6880 0.8304 0.8541
B: 0.8120 0.6661 0.1424
B: 0.8304 0.4763 0.1424
B: 0.8339 0.6880 0.3576
B: 0.9763 0.3304 0.6424
Ru: 0.0867 0.1865 0.9020
Ru: 0.1847 0.0867 0.4002
Ru: 0.1865 0.7845 0.0998
Ru: 0.2155 0.8153 0.4020
Ru: 0.2845 0.6865 0.5998
Ru: 0.3135 0.4133 0.5980
Ru: 0.3153 0.7155 0.9020
Ru: 0.4133 0.3153 0.0998
Ru: 0.5867 0.6847 0.9002
Ru: 0.6847 0.2845 0.0980
Ru: 0.6865 0.5867 0.4020
Ru: 0.7155 0.3135 0.4002
Ru: 0.7845 0.1847 0.5980
Ru: 0.8135 0.2155 0.9002
Ru: 0.8153 0.9133 0.5998
Ru: 0.9133 0.8135 0.0980

Computed properties:
Magnetic moment = 0.001 μB per atom

***

A relaxed YB2Ru3 crystal, computed with PBE.

abc: 5.5160 5.5160 3.0374
angles: 90.00 90.00 120.00
Sites, in units of the cell vectors:
Y: 0.0000 0.0000 0.0000
B: 0.3333 0.6667 0.0000
B: 0.6667 0.3333 0.0000
Ru: 0.0000 0.5000 0.5000
Ru: 0.5000 0.0000 0.5000
Ru: 0.5000 0.5000 0.5000

***

A relaxed B12S crystal, computed with PBE.

abc: 5.1341 5.1341 5.1341
angles: 68.74 68.74 68.74
Sites, in units of the cell vectors:
B: 0.1705 0.4901 0.4901
B: 0.2104 0.6884 0.6884
B: 0.3116 0.3116 0.7896
B: 0.3116 0.7896 0.3116
B: 0.4901 0.1705 0.4901
B: 0.4901 0.4901 0.1705
B: 0.5099 0.5099 0.8295
B: 0.5099 0.8295 0.5099
B: 0.6884 0.2104 0.6884
B: 0.6884 0.6884 0.2104
B: 0.7896 0.3116 0.3116
B: 0.8295 0.5099 0.5099
S: 0.0000 0.0000 0.0000

Computed properties:
Polymorph energy (0 for the lowest one) = 0.3359 eV per atom
Magnetic moment = 0.000 μB per atom

***

A relaxed B2S3 crystal, computed with PBE.

abc: 8.3771 8.3771 8.3771
angles: 38.01 38.01 38.01
Sites, in units of the cell vectors:
B: 0.0836 0.0836 0.0836
B: 0.4164 0.4164 0.4164
B: 0.5836 0.5836 0.5836
B: 0.9164 0.9164 0.9164
S: 0.0817 0.7500 0.4183
S: 0.2500 0.5817 0.9183
S: 0.4183 0.0817 0.7500
S: 0.5817 0.9183 0.2500
S: 0.7500 0.4183 0.0817
S: 0.9183 0.2500 0.5817

Computed properties:
Polymorph energy (0 for the lowest one) = 0.1048 eV per atom
Magnetic moment = 0.002 μB per atom

***

Respective total DFT energy (no corrections) values: -31.49, -68.25, -38.01, -50.46, -79.66, -27.41 eV/f.u..
Respective ΔH_f (0 K) values: -598, -663, 73, -468, 317, -631 meV per atom.